## MgCu2O3 (PBE)

Data for a relaxed structure of MgCu2O3.

Structure (CIF):
```
data_MgCu2O3
_chemical_formula_sum 'Mg1 Cu2 O3'
_symmetry_space_group_name_H-M 'P 1'
_symmetry_Int_Tables_number 1
_cell_length_a 4.227
_cell_length_b 4.227
_cell_length_c 3.854
_cell_angle_alpha 90.00
_cell_angle_beta 90.00
_cell_angle_gamma 90.00
loop_
_symmetry_equiv_pos_as_xyz
'x,y,z'
loop_
_atom_site_label
_atom_site_type_symbol
_atom_site_fract_x
_atom_site_fract_y
_atom_site_fract_z
Mg1 Mg 0.000 0.000 0.000
Cu1 Cu 0.000 0.500 0.500
Cu2 Cu 0.500 0.000 0.500
O1 O 0.000 0.000 0.500
O2 O 0.000 0.500 0.000
O3 O 0.500 0.000 0.000
```

Computed properties:
energy with MP2020 corrections = -5.524 eV per atom
E_form = -1417 meV per atom
symmetry = P4/mmm